## RbNa3SnO4 (PBE)

Data for a geometry-optimized RbNa3SnO4 structure.

Summary:
The formation energy from the elements is -1857 meV per atom.

a b c (Å): 12.9665 12.9665 15.2619
angles (deg): 90.00 90.00 90.00
Closest atoms and distances in Å follow each position.
Space group I4_1/a (No. 88, origin choice 2)
Unique sites:
Rb 0.2307 0.4864 0.4164 (multiplicity 16)  6 O 3.00-3.22
Na 0.0033 0.3866 0.3211 (multiplicity 16)  4 O 2.29-2.56
Na 0.0220 0.4081 0.0569 (multiplicity 16)  3 O 2.24-2.37
Na 0.0303 0.4093 0.5641 (multiplicity 16)  4 O 2.33-2.43
Sn 0.0371 0.4265 0.8047 (multiplicity 16)  4 O 1.99-2.00
O 0.0398 0.0995 0.9157 (multiplicity 16)  1 Sn 1.99
O 0.0537 0.0757 0.6993 (multiplicity 16)  1 Sn 1.99
O 0.0793 0.0745 0.1850 (multiplicity 16)  1 Sn 2.00, 1 Na 2.24
O 0.0907 0.0858 0.4516 (multiplicity 16)  1 Sn 1.99

***

## Rb7NaZn2O6 (PBE)

Data for a geometry-optimized Rb7NaZn2O6 structure.

Summary:
The formation energy from the elements is -1452 meV per atom.

a b c (Å): 7.2095 9.5967 11.4427
angles (deg): 105.95 92.00 108.73
Closest atoms and distances in Å follow each position.
Space group P-1 (No. 2)
Unique sites:
Rb 0.0115 0.3767 0.3164 (multiplicity 2)  4 O 2.90-3.23
Rb 0.0242 0.0158 0.3133 (multiplicity 2)  3 O 2.76-3.03
Rb 0.0636 0.8392 0.0191 (multiplicity 2)  4 O 2.79-3.04
Rb 0.2933 0.5709 0.0918 (multiplicity 2)  3 O 2.76-2.85
Rb 0.4525 0.1649 0.5927 (multiplicity 2)  4 O 2.84-2.98
Rb 0.4652 0.9836 0.8117 (multiplicity 2)  2 O 2.69-2.98
Rb 0.4714 0.6318 0.6347 (multiplicity 2)  4 O 2.82-3.04
Na 0.1935 0.3854 0.7846 (multiplicity 2)  4 O 2.41-2.53
Zn 0.0808 0.7543 0.4385 (multiplicity 2)  3 O 1.92-1.94
Zn 0.4072 0.2516 0.0590 (multiplicity 2)  3 O 1.93-1.95
O 0.1566 0.7487 0.2765 (multiplicity 2)  1 Zn 1.94
O 0.1997 0.3274 0.5555 (multiplicity 2)  1 Zn 1.93
O 0.2187 0.1807 0.1638 (multiplicity 2)  1 Zn 1.93
O 0.2710 0.8355 0.5836 (multiplicity 2)  1 Zn 1.92
O 0.3134 0.6735 0.8798 (multiplicity 2)  1 Zn 1.94
O 0.3145 0.2443 0.8949 (multiplicity 2)  1 Zn 1.95

***

## Na2ReO3 (PBE)

Data for a geometry-optimized Na2ReO3 structure.

Summary:
The formation energy from the elements is -2019 meV per atom.

a b c (Å): 5.6398 5.6398 12.3315
angles (deg): 90.00 90.00 120.00
Closest atoms and distances in Å follow each position.
Space group P6_3/mcm (No. 193)
Unique sites:
Na 0.3333 0.6667 0.0000 (multiplicity 4)  6 O 2.46
Na 0.3333 0.6667 0.2500 (multiplicity 4)  6 O 2.47
Re 0.0000 0.0000 0.1553 (multiplicity 4)  3 O 1.84
O 0.0000 0.3186 0.1241 (multiplicity 12)  1 Re 1.84

***

## NaReO2 (PBE)

Data for a geometry-optimized NaReO2 structure.

Summary:
The formation energy from the elements is -1301 meV per atom.

a b c (Å): 5.9386 5.9386 11.3201
angles (deg): 90.00 90.00 90.00
Closest atoms and distances in Å follow each position.
Space group I4_1/amd (No. 141, origin choice 2)
Unique sites:
Na 0.0000 0.0000 0.0000 (multiplicity 8)  6 O 2.32-2.35
Re 0.0000 0.0000 0.5000 (multiplicity 8)  4 O 2.00
O 0.0000 0.0425 0.2034 (multiplicity 16)  2 Re 2.00